No. 1
## ZrTe7SeCl6 (PBE)

Data for ZrTe7SeCl6 after structural relaxation.

Summary:
E_form ... -939.6 meV per atom

a = 11.7779 Å, b = 11.9851 Å, c = 15.6793 Å
α = 90.00°, β = 110.28°, γ = 90.00°
Positions (direct):
Zr (0.2059, 0.2148, 0.0990)
Zr (0.2059, 0.2852, 0.5990)
Zr (0.7941, 0.7148, 0.4010)
Zr (0.7941, 0.7852, 0.9010)
Te (0.1258, 0.6605, 0.8019)
Te (0.1258, 0.8395, 0.3019)
Te (0.1553, 0.7130, 0.1631)
Te (0.1553, 0.7870, 0.6631)
Te (0.1973, 0.6490, 0.4490)
Te (0.1973, 0.8510, 0.9490)
Te (0.2683, 0.0148, 0.8511)
Te (0.2683, 0.4852, 0.3511)
Te (0.3466, 0.5501, 0.8574)
Te (0.3466, 0.9499, 0.3574)
Te (0.3531, 0.5631, 0.0357)
Te (0.3531, 0.9369, 0.5357)
Te (0.3782, 0.6321, 0.2686)
Te (0.3782, 0.8679, 0.7686)
Te (0.6218, 0.1321, 0.2314)
Te (0.6218, 0.3679, 0.7314)
Te (0.6469, 0.0631, 0.4643)
Te (0.6469, 0.4369, 0.9643)
Te (0.6534, 0.0501, 0.6426)
Te (0.6534, 0.4499, 0.1426)
Te (0.7317, 0.5148, 0.6489)
Te (0.7317, 0.9852, 0.1489)
Te (0.8027, 0.1490, 0.0510)
Te (0.8027, 0.3510, 0.5510)
Te (0.8447, 0.2130, 0.3369)
Te (0.8447, 0.2870, 0.8369)
Te (0.8742, 0.1605, 0.6981)
Te (0.8742, 0.3395, 0.1981)
Se (0.4066, 0.7278, 0.5348)
Se (0.4066, 0.7722, 0.0348)
Se (0.5934, 0.2278, 0.9652)
Se (0.5934, 0.2722, 0.4652)
Cl (0.0705, 0.1177, 0.9587)
Cl (0.0705, 0.3823, 0.4587)
Cl (0.0732, 0.1211, 0.5701)
Cl (0.0732, 0.3789, 0.0701)
Cl (0.0864, 0.1392, 0.1915)
Cl (0.0864, 0.3608, 0.6915)
Cl (0.3135, 0.2054, 0.5023)
Cl (0.3135, 0.2946, 0.0023)
Cl (0.3336, 0.0408, 0.1338)
Cl (0.3336, 0.4592, 0.6338)
Cl (0.3586, 0.1990, 0.7355)
Cl (0.3586, 0.3010, 0.2355)
Cl (0.6414, 0.6990, 0.7645)
Cl (0.6414, 0.8010, 0.2645)
Cl (0.6664, 0.5409, 0.3662)
Cl (0.6664, 0.9592, 0.8662)
Cl (0.6865, 0.7054, 0.9977)
Cl (0.6865, 0.7946, 0.4977)
Cl (0.9136, 0.6392, 0.3085)
Cl (0.9136, 0.8608, 0.8085)
Cl (0.9268, 0.6211, 0.9299)
Cl (0.9268, 0.8789, 0.4299)
Cl (0.9295, 0.6177, 0.5413)
Cl (0.9295, 0.8823, 0.0413)


No. 2
## HfMo2 (PBE)

Data for HfMo2 after structural relaxation.

Summary:
Relative energy among the computed polymorphs ... 0.207 eV per atom
E_form ... 35.3 meV per atom

a = 7.1962 Å, b = 6.9725 Å, c = 2.8989 Å
α = 82.56°, β = 73.90°, γ = 23.54°
Positions (direct):
Hf (0.0000, 0.0000, 0.0000)
Mo (0.3255, 0.3255, 0.6745)
Mo (0.6745, 0.6745, 0.3255)


No. 3
## Na3P3N3O7 (PBE)

Data for Na3P3N3O7 after structural relaxation.

Summary:
E_form ... -1394.2 meV per atom

a = 7.9405 Å, b = 7.9405 Å, c = 7.7424 Å
α = 101.17°, β = 101.17°, γ = 100.43°
Positions (direct):
Na (0.0000, 0.0000, 0.0000)
Na (0.3262, 0.2450, 0.5781)
Na (0.6669, 0.3331, 0.0000)
Na (0.6907, 0.0400, 0.6228)
Na (0.7550, 0.6738, 0.4219)
Na (0.9600, 0.3093, 0.3772)
P (0.0680, 0.3871, 0.8486)
P (0.0689, 0.6467, 0.1747)
P (0.3166, 0.4133, 0.1939)
P (0.3533, 0.9311, 0.8253)
P (0.5867, 0.6834, 0.8061)
P (0.6129, 0.9320, 0.1514)
N (0.0190, 0.5703, 0.9495)
N (0.2428, 0.3399, 0.9703)
N (0.2527, 0.5956, 0.2722)
N (0.4044, 0.7473, 0.7278)
N (0.4297, 0.9810, 0.0505)
N (0.6601, 0.7572, 0.0297)
O (0.0068, 0.9932, 0.5000)
O (0.0892, 0.8445, 0.2164)
O (0.1088, 0.4033, 0.6689)
O (0.1555, 0.9108, 0.7836)
O (0.2177, 0.2748, 0.2734)
O (0.4616, 0.0787, 0.7631)
O (0.5169, 0.4462, 0.2367)
O (0.5538, 0.4831, 0.7633)
O (0.5967, 0.8912, 0.3311)
O (0.6792, 0.3208, 0.5000)
O (0.7252, 0.7823, 0.7266)
O (0.7605, 0.0890, 0.1569)
O (0.9110, 0.2395, 0.8431)
O (0.9213, 0.5384, 0.2369)